Compound: MgVGe2O6
Source: the Materials Project
Functional: GGA+U
Structure: optimized geometry

Cell lengths 5.2728, 6.7408, 6.7410 Å; angles 86.57, 82.22, 82.22 degrees
With the nearest neighbours (Å) after each atom.
Positions (direct):
Mg: 0.7500 0.2700 0.7300  6 O 2.04-2.27
Mg: 0.2500 0.7300 0.2700  6 O 2.04-2.27
V: 0.2500 0.0928 0.9072  6 O 2.13-2.22
V: 0.7500 0.9072 0.0928  6 O 2.13-2.22
Ge: 0.7887 0.3953 0.2086  4 O 1.73-1.84
Ge: 0.7113 0.7914 0.6047  4 O 1.73-1.84
Ge: 0.2113 0.6047 0.7914  4 O 1.73-1.84
Ge: 0.2887 0.2086 0.3953  4 O 1.73-1.84
O: 0.5986 0.2897 0.4289  2 Ge 1.84
O: 0.9014 0.5711 0.7103  2 Ge 1.84
O: 0.4014 0.7103 0.5711  2 Ge 1.84
O: 0.0986 0.4289 0.2897  2 Ge 1.84
O: 0.1150 0.1477 0.6221  1 Ge 1.73
O: 0.3850 0.3779 0.8523  1 Ge 1.73
O: 0.8850 0.8523 0.3779  1 Ge 1.73
O: 0.6150 0.6221 0.1477  1 Ge 1.73
O: 0.8600 0.2132 0.0236  1 Ge 1.77
O: 0.6400 0.9764 0.7868  1 Ge 1.77
O: 0.1400 0.7868 0.9764  1 Ge 1.77
O: 0.3600 0.0236 0.2132  1 Ge 1.77

Output
- total energy after the MP2020 corrections (eV per atom) = -7.3195
- energy of formation from the pure elements (meV/atom) = -2358
- symmetry = C2/c

---

Compound: MgGe2W2O8
Source: the Materials Project
Functional: GGA+U
Structure: optimized geometry

Cell lengths 5.2827, 6.3434, 5.2208 Å; angles 90.00, 87.29, 90.00 degrees
With the nearest neighbours (Å) after each atom.
Positions (direct):
Mg: 0.0000 0.5964 0.2500  4 O 2.03-2.11
Ge: 0.5000 0.3512 0.7500  4 O 2.29-2.54
Ge: 0.5000 0.7266 0.2500  4 O 2.09-2.30
W: 0.0000 0.8535 0.7500  6 O 1.95-2.07
W: 0.0000 0.1456 0.2500  6 O 1.96-2.19
O: 0.1961 0.0917 0.5559  2 W 1.97-2.07
O: 0.2060 0.8797 0.0727  2 W 2.06-2.19, 1 Ge 2.09, 1 Mg 2.27
O: 0.2130 0.6410 0.5781  1 W 1.95, 1 Mg 2.11
O: 0.2262 0.3635 0.1042  1 W 1.96, 1 Mg 2.03
O: 0.7870 0.6410 0.9219  1 W 1.95, 1 Mg 2.11
O: 0.7738 0.3635 0.3958  1 W 1.96, 1 Mg 2.03
O: 0.8039 0.0917 0.9441  2 W 1.97-2.07
O: 0.7940 0.8797 0.4273  2 W 2.06-2.19, 1 Ge 2.09, 1 Mg 2.27

Output
- total energy after the MP2020 corrections (eV per atom) = -7.7369
- energy of formation from the pure elements (meV/atom) = -1864
- symmetry = P2

---

Compound: MgGe2W2O8
Source: the Materials Project
Functional: GGA+U
Structure: optimized geometry

Cell lengths 5.3735, 5.9578, 5.3416 Å; angles 90.00, 85.99, 90.00 degrees
With the nearest neighbours (Å) after each atom.
Positions (direct):
Mg: 0.5000 0.0496 0.2500  4 O 2.06-2.18
Ge: 0.5000 0.3425 0.7500  6 O 2.20-2.46
Ge: 0.5000 0.6087 0.2500  2 O 1.89
W: 0.0000 0.8447 0.7500  4 O 1.86-1.96
W: 0.0000 0.1787 0.2500  6 O 2.05-2.14
O: 0.2222 0.0913 0.5321  2 W 2.05-2.18, 1 Mg 2.06
O: 0.2027 0.9341 0.0254  2 W 1.96-2.14, 1 Mg 2.18
O: 0.2280 0.6332 0.6176  1 W 1.86
O: 0.2981 0.3814 0.1212  1 Ge 1.89, 1 W 2.08
O: 0.7720 0.6332 0.8824  1 W 1.86
O: 0.7019 0.3814 0.3788  1 Ge 1.89, 1 W 2.08
O: 0.7778 0.0913 0.9679  2 W 2.05-2.18, 1 Mg 2.06
O: 0.7973 0.9341 0.4746  2 W 1.96-2.14, 1 Mg 2.18

Output
- total energy after the MP2020 corrections (eV per atom) = -7.7385
- energy of formation from the pure elements (meV/atom) = -1866
- symmetry = P2

---

Compound: Na3Mn5Ge6O20
Source: the Materials Project
Functional: GGA+U
Structure: optimized geometry

Cell lengths 9.3369, 10.3465, 10.7378 Å; angles 114.51, 84.18, 114.85 degrees
With the nearest neighbours (Å) after each atom.
Positions (direct):
Na: 0.6167 0.3701 0.5787  6 O 2.40-2.58
Na: 0.3833 0.6299 0.4213  6 O 2.40-2.58
Na: 0.3733 0.6118 0.9487  6 O 2.37-2.61
Na: 0.6267 0.3882 0.0513  6 O 2.37-2.61
Na: 0.9407 0.0622 0.1542  5 O 2.24-2.45
Na: 0.0593 0.9378 0.8458  5 O 2.24-2.45
Mn: 0.8405 0.1767 0.9522  4 O 1.94-2.09
Mn: 0.1595 0.8233 0.0478  4 O 1.94-2.09
Mn: 0.9383 0.0525 0.6536  6 O 2.16-2.26
Mn: 0.0617 0.9475 0.3464  6 O 2.16-2.26
Mn: 0.8229 0.1525 0.4615  6 O 2.06-2.28
Mn: 0.1771 0.8475 0.5385  6 O 2.06-2.28
Mn: 0.0000 0.5000 0.5000  4 O 1.96-2.07
Mn: 0.7320 0.2710 0.2610  6 O 1.94-2.16
Mn: 0.2680 0.7290 0.7390  6 O 1.94-2.16
Mn: 0.5000 0.0000 0.0000  4 O 1.94-2.07
Ge: 0.5597 0.0527 0.6973  4 O 1.75-1.82
Ge: 0.4403 0.9473 0.3027  4 O 1.75-1.82
Ge: 0.6519 0.7679 0.7444  4 O 1.75-1.81
Ge: 0.3481 0.2321 0.2556  4 O 1.75-1.81
Ge: 0.9516 0.4377 0.7995  4 O 1.78-1.82
Ge: 0.0484 0.5623 0.2005  4 O 1.78-1.82
Ge: 0.3345 0.2321 0.7612  4 O 1.73-1.80
Ge: 0.6655 0.7679 0.2388  4 O 1.73-1.80
Ge: 0.7588 0.6561 0.4429  4 O 1.75-1.81
Ge: 0.2412 0.3439 0.5571  4 O 1.75-1.81
Ge: 0.7805 0.6596 0.9334  4 O 1.73-1.81
Ge: 0.2195 0.3404 0.0666  4 O 1.73-1.81
O: 0.7161 0.0473 0.5930  1 Ge 1.75
O: 0.2839 0.9527 0.4070  1 Ge 1.75
O: 0.7173 0.0794 0.0710  3 Mn 1.94-2.14
O: 0.2827 0.9206 0.9290  3 Mn 1.94-2.14
O: 0.6135 0.1167 0.8773  1 Ge 1.81
O: 0.3865 0.8833 0.1227  1 Ge 1.81
O: 0.6117 0.6807 0.5619  2 Ge 1.79-1.80
O: 0.3883 0.3193 0.4381  2 Ge 1.79-1.80
O: 0.9527 0.2777 0.8253  1 Ge 1.79, 1 Mn 2.00
O: 0.0473 0.7223 0.1747  1 Ge 1.79, 1 Mn 2.00
O: 0.8905 0.3872 0.6269  1 Ge 1.79
O: 0.1095 0.6128 0.3731  1 Ge 1.79
O: 0.9145 0.2901 0.3508  3 Mn 1.94-2.08
O: 0.0855 0.7099 0.6492  3 Mn 1.94-2.08
O: 0.8669 0.3928 0.1369  1 Ge 1.78
O: 0.1331 0.6072 0.8631  1 Ge 1.78
O: 0.3392 0.3802 0.7129  2 Ge 1.79-1.81
O: 0.6608 0.6198 0.2871  2 Ge 1.79-1.81
O: 0.3683 0.3333 0.9457  2 Ge 1.80-1.81
O: 0.6317 0.6667 0.0543  2 Ge 1.80-1.81
O: 0.7740 0.4883 0.4299  1 Ge 1.75
O: 0.2260 0.5117 0.5701  1 Ge 1.75
O: 0.4786 0.7745 0.8249  1 Ge 1.77
O: 0.5214 0.2255 0.1751  1 Ge 1.77
O: 0.6891 0.6272 0.7787  2 Ge 1.78-1.81
O: 0.3109 0.3728 0.2213  2 Ge 1.78-1.81
O: 0.8197 0.9454 0.7918  1 Ge 1.75
O: 0.1803 0.0546 0.2082  1 Ge 1.75
O: 0.9570 0.8250 0.9923  1 Ge 1.73
O: 0.0430 0.1750 0.0077  1 Ge 1.73
O: 0.1648 0.0584 0.7013  1 Ge 1.73
O: 0.8352 0.9416 0.2987  1 Ge 1.73
O: 0.6107 0.1269 0.3664  1 Ge 1.77
O: 0.3893 0.8731 0.6336  1 Ge 1.77
O: 0.5090 0.2059 0.7006  2 Ge 1.78-1.82
O: 0.4910 0.7941 0.2994  2 Ge 1.78-1.82
O: 0.9364 0.8294 0.4866  1 Ge 1.77
O: 0.0636 0.1706 0.5134  1 Ge 1.77
O: 0.7974 0.4841 0.9007  2 Ge 1.77-1.82
O: 0.2026 0.5159 0.0993  2 Ge 1.77-1.82

Output
- total energy after the MP2020 corrections (eV per atom) = -7.3202
- energy of formation from the pure elements (meV/atom) = -2130
- symmetry = P-1

---

Compound: MnGeO3
Source: the Materials Project
Functional: GGA+U
Structure: optimized geometry

Cell lengths 5.0949, 5.6734, 5.0952 Å; angles 116.68, 120.00, 90.00 degrees
With the nearest neighbours (Å) after each atom.
Positions (direct):
Mn: 0.3631 0.0892 0.7261  6 O 2.12-2.36
Mn: 0.6369 0.9108 0.2739  6 O 2.12-2.36
Ge: 0.8430 0.5289 0.6859  6 O 1.90-1.97
Ge: 0.1570 0.4711 0.3141  6 O 1.90-1.97
O: 0.4392 0.2771 0.4822  2 Ge 1.90-1.97, 1 Mn 2.12
O: 0.7949 0.2771 0.2341  2 Ge 1.90-1.97, 1 Mn 2.12
O: 0.0429 0.2771 0.8378  2 Ge 1.90-1.97, 1 Mn 2.12
O: 0.5608 0.7229 0.5178  2 Ge 1.90-1.97, 1 Mn 2.12
O: 0.2051 0.7229 0.7659  2 Ge 1.90-1.97, 1 Mn 2.12
O: 0.9571 0.7229 0.1622  2 Ge 1.90-1.97, 1 Mn 2.12

Output
- total energy after the MP2020 corrections (eV per atom) = -7.8327
- energy of formation from the pure elements (meV/atom) = -2107
- symmetry = R-3